Record 1
# meta-GGA r2SCAN Pm3Cd, optimized geometry
# DFT formation energy = -146 meV per atom
data_Pm3Cd
_cell_length_a 7.1288
_cell_length_b 7.1288
_cell_length_c 5.5267
_cell_angle_alpha 90.00
_cell_angle_beta 90.00
_cell_angle_gamma 120.00
_symmetry_space_group_name_H-M 'P 63/m m c'
_symmetry_Int_Tables_number 194
_symmetry_space_group_name_Hall '-P 6c 2c'
loop_
_atom_site_label
_atom_site_type_symbol
_atom_site_fract_x
_atom_site_fract_y
_atom_site_fract_z
Pm1 Pm 0.1753 0.3507 0.2500
Cd1 Cd 0.3333 0.6667 0.7500



Record 2
# meta-GGA r2SCAN Pm2CdSi, optimized geometry
# DFT formation energy = -448 meV per atom
data_Pm2CdSi
_cell_length_a 7.385
_cell_length_b 7.385
_cell_length_c 7.385
_cell_angle_alpha 90.00
_cell_angle_beta 90.00
_cell_angle_gamma 90.00
_symmetry_space_group_name_H-M 'F m -3 m'
_symmetry_Int_Tables_number 225
_symmetry_space_group_name_Hall '-F 4 2 3'
loop_
_atom_site_label
_atom_site_type_symbol
_atom_site_fract_x
_atom_site_fract_y
_atom_site_fract_z
Pm1 Pm 0.250 0.250 0.250
Cd1 Cd 0.000 0.000 0.000
Si1 Si 0.000 0.000 0.500



Record 3
# meta-GGA r2SCAN YbPmCd2, optimized geometry
# DFT formation energy = -374 meV per atom
data_YbPmCd2
_cell_length_a 7.481
_cell_length_b 7.481
_cell_length_c 7.481
_cell_angle_alpha 90.00
_cell_angle_beta 90.00
_cell_angle_gamma 90.00
_symmetry_space_group_name_H-M 'F m -3 m'
_symmetry_Int_Tables_number 225
_symmetry_space_group_name_Hall '-F 4 2 3'
loop_
_atom_site_label
_atom_site_type_symbol
_atom_site_fract_x
_atom_site_fract_y
_atom_site_fract_z
Yb1 Yb 0.000 0.000 0.000
Pm1 Pm 0.000 0.000 0.500
Cd1 Cd 0.250 0.250 0.250



It is found that the total magnetization values, taken in the order of the records, are 0.956 0.000 0.000 μB/f.u..